1.
# K3SbI6 | the Materials Project | PBE | optimized geometry
data_K3SbI6
_chemical_formula_sum 'K3 Sb1 I6'
_cell_length_a 9.007
_cell_length_b 9.007
_cell_length_c 9.007
_cell_angle_alpha 60.00
_cell_angle_beta 60.00
_cell_angle_gamma 60.00
_symmetry_space_group_name_H-M 'P 1'
_symmetry_Int_Tables_number 1
loop_
_symmetry_equiv_pos_as_xyz
'x,y,z'
loop_
_atom_site_label
_atom_site_type_symbol
_atom_site_fract_x
_atom_site_fract_y
_atom_site_fract_z
K1 K 0.000 0.000 0.000
K2 K 0.250 0.250 0.250
K3 K 0.750 0.750 0.750
Sb1 Sb 0.500 0.500 0.500
I1 I 0.263 0.263 0.737
I2 I 0.263 0.737 0.263
I3 I 0.263 0.737 0.737
I4 I 0.737 0.263 0.263
I5 I 0.737 0.263 0.737
I6 I 0.737 0.737 0.263
# * symmetry: Fm-3m, No. 225
# * energy relative to the elements: -1.165 eV per atom
# * DFT total energy: -2.60 eV per atom

---

2.
# SmRh | the Materials Project | PBE | optimized geometry
data_SmRh
_chemical_formula_sum 'Sm1 Rh1'
_cell_length_a 3.505
_cell_length_b 3.505
_cell_length_c 3.505
_cell_angle_alpha 90.00
_cell_angle_beta 90.00
_cell_angle_gamma 90.00
_symmetry_space_group_name_H-M 'P 1'
_symmetry_Int_Tables_number 1
loop_
_symmetry_equiv_pos_as_xyz
'x,y,z'
loop_
_atom_site_label
_atom_site_type_symbol
_atom_site_fract_x
_atom_site_fract_y
_atom_site_fract_z
Sm1 Sm 0.000 0.000 0.000
Rh1 Rh 0.500 0.500 0.500
# * symmetry: Pm-3m, No. 221
# * energy relative to the elements: -0.728 eV per atom
# * DFT total energy: -6.77 eV per atom

---

3.
# CoPb3 | the Materials Project | PBE | optimized geometry
data_CoPb3
_chemical_formula_sum 'Co2 Pb6'
_cell_length_a 8.414
_cell_length_b 3.552
_cell_length_c 8.518
_cell_angle_alpha 90.00
_cell_angle_beta 119.03
_cell_angle_gamma 90.00
_symmetry_space_group_name_H-M 'P 1'
_symmetry_Int_Tables_number 1
loop_
_symmetry_equiv_pos_as_xyz
'x,y,z'
loop_
_atom_site_label
_atom_site_type_symbol
_atom_site_fract_x
_atom_site_fract_y
_atom_site_fract_z
Co1 Co 0.000 0.000 0.000
Co2 Co 0.336 0.500 0.670
Pb1 Pb 0.059 0.000 0.529
Pb2 Pb 0.279 0.500 0.141
Pb3 Pb 0.471 0.000 0.941
Pb4 Pb 0.473 0.000 0.528
Pb5 Pb 0.862 0.500 0.143
Pb6 Pb 0.864 0.500 0.727
# * symmetry: Pm, No. 6
# * energy relative to the elements: 0.362 eV per atom
# * DFT total energy: -4.20 eV per atom

---

4.
# Na9Mg5NbP6S3O36 | the Materials Project | PBE | optimized geometry
data_Na9Mg5NbP6S3O36
_chemical_formula_sum 'Na18 Mg10 Nb2 P12 S6 O72'
_cell_length_a 8.963
_cell_length_b 8.963
_cell_length_c 22.141
_cell_angle_alpha 90.22
_cell_angle_beta 90.22
_cell_angle_gamma 59.76
_symmetry_space_group_name_H-M 'P 1'
_symmetry_Int_Tables_number 1
loop_
_symmetry_equiv_pos_as_xyz
'x,y,z'
loop_
_atom_site_label
_atom_site_type_symbol
_atom_site_fract_x
_atom_site_fract_y
_atom_site_fract_z
Na1 Na 0.131 0.505 0.999
Na2 Na 0.132 0.868 0.500
Na3 Na 0.158 0.169 0.914
Na4 Na 0.169 0.158 0.414
Na5 Na 0.170 0.803 0.173
Na6 Na 0.188 0.474 0.336
Na7 Na 0.474 0.188 0.836
Na8 Na 0.488 0.514 0.753
Na9 Na 0.505 0.131 0.499
Na10 Na 0.505 0.872 0.000
Na11 Na 0.514 0.488 0.253
Na12 Na 0.536 0.804 0.673
Na13 Na 0.803 0.170 0.673
Na14 Na 0.804 0.536 0.173
Na15 Na 0.824 0.849 0.084
Na16 Na 0.849 0.824 0.584
Na17 Na 0.868 0.132 0.000
Na18 Na 0.872 0.505 0.500
Mg1 Mg 0.161 0.172 0.776
Mg2 Mg 0.168 0.172 0.567
Mg3 Mg 0.172 0.161 0.276
Mg4 Mg 0.172 0.168 0.067
Mg5 Mg 0.497 0.504 0.601
Mg6 Mg 0.504 0.497 0.101
Mg7 Mg 0.827 0.844 0.245
Mg8 Mg 0.834 0.838 0.434
Mg9 Mg 0.838 0.834 0.934
Mg10 Mg 0.844 0.827 0.745
Nb1 Nb 0.502 0.507 0.899
Nb2 Nb 0.507 0.502 0.399
P1 P 0.128 0.539 0.839
P2 P 0.128 0.840 0.338
P3 P 0.206 0.796 0.007
P4 P 0.207 0.504 0.505
P5 P 0.504 0.207 0.005
P6 P 0.504 0.796 0.507
P7 P 0.539 0.128 0.339
P8 P 0.540 0.838 0.836
P9 P 0.796 0.206 0.507
P10 P 0.796 0.504 0.007
P11 P 0.838 0.540 0.336
P12 P 0.840 0.128 0.838
S1 S 0.168 0.875 0.670
S2 S 0.170 0.464 0.170
S3 S 0.464 0.170 0.670
S4 S 0.465 0.875 0.170
S5 S 0.875 0.168 0.170
S6 S 0.875 0.465 0.670
O1 O 0.010 0.640 0.174
O2 O 0.010 0.862 0.676
O3 O 0.025 0.664 0.497
O4 O 0.026 0.856 0.395
O5 O 0.027 0.816 0.999
O6 O 0.030 0.616 0.898
O7 O 0.054 0.651 0.783
O8 O 0.058 0.794 0.280
O9 O 0.143 0.978 0.614
O10 O 0.147 0.381 0.116
O11 O 0.158 0.991 0.331
O12 O 0.170 0.351 0.832
O13 O 0.187 0.362 0.225
O14 O 0.193 0.963 0.722
O15 O 0.196 0.337 0.507
O16 O 0.196 0.974 0.008
O17 O 0.288 0.687 0.064
O18 O 0.293 0.536 0.559
O19 O 0.315 0.666 0.346
O20 O 0.319 0.519 0.846
O21 O 0.323 0.488 0.167
O22 O 0.324 0.478 0.447
O23 O 0.328 0.702 0.665
O24 O 0.331 0.695 0.952
O25 O 0.337 0.196 0.007
O26 O 0.337 0.974 0.508
O27 O 0.351 0.170 0.332
O28 O 0.352 0.964 0.222
O29 O 0.359 0.998 0.830
O30 O 0.362 0.187 0.725
O31 O 0.381 0.147 0.616
O32 O 0.385 0.972 0.113
O33 O 0.478 0.324 0.947
O34 O 0.479 0.696 0.452
O35 O 0.481 0.698 0.167
O36 O 0.488 0.323 0.667
O37 O 0.519 0.319 0.346
O38 O 0.520 0.672 0.846
O39 O 0.534 0.686 0.564
O40 O 0.536 0.293 0.059
O41 O 0.616 0.030 0.398
O42 O 0.623 0.864 0.893
O43 O 0.640 0.010 0.674
O44 O 0.641 0.850 0.175
O45 O 0.647 0.803 0.779
O46 O 0.651 0.054 0.283
O47 O 0.664 0.025 0.997
O48 O 0.664 0.814 0.498
O49 O 0.666 0.315 0.846
O50 O 0.672 0.520 0.346
O51 O 0.686 0.534 0.064
O52 O 0.687 0.288 0.564
O53 O 0.695 0.331 0.452
O54 O 0.696 0.479 0.952
O55 O 0.698 0.481 0.667
O56 O 0.702 0.328 0.165
O57 O 0.794 0.058 0.780
O58 O 0.803 0.647 0.279
O59 O 0.814 0.664 0.998
O60 O 0.816 0.027 0.499
O61 O 0.850 0.641 0.675
O62 O 0.856 0.026 0.895
O63 O 0.862 0.010 0.176
O64 O 0.864 0.623 0.393
O65 O 0.963 0.193 0.222
O66 O 0.964 0.352 0.722
O67 O 0.972 0.385 0.613
O68 O 0.974 0.196 0.508
O69 O 0.974 0.337 0.008
O70 O 0.978 0.143 0.114
O71 O 0.991 0.158 0.831
O72 O 0.998 0.359 0.330
# * symmetry: Cc, No. 9
# * energy relative to the elements: -2.649 eV per atom
# * DFT total energy: -6.45 eV per atom

---

5.
# Ba2MgCu3Br2O4 | the Materials Project | PBE | optimized geometry
data_Ba2MgCu3Br2O4
_chemical_formula_sum 'Ba2 Mg1 Cu3 Br2 O4'
_cell_length_a 10.130
_cell_length_b 10.130
_cell_length_c 10.130
_cell_angle_alpha 147.40
_cell_angle_beta 147.31
_cell_angle_gamma 46.84
_symmetry_space_group_name_H-M 'P 1'
_symmetry_Int_Tables_number 1
loop_
_symmetry_equiv_pos_as_xyz
'x,y,z'
loop_
_atom_site_label
_atom_site_type_symbol
_atom_site_fract_x
_atom_site_fract_y
_atom_site_fract_z
Ba1 Ba 0.158 0.158 0.000
Ba2 Ba 0.842 0.842 0.000
Mg1 Mg 0.000 0.000 0.000
Cu1 Cu 0.000 0.500 0.500
Cu2 Cu 0.500 0.000 0.500
Cu3 Cu 0.500 0.500 0.000
Br1 Br 0.250 0.750 0.500
Br2 Br 0.750 0.250 0.500
O1 O 0.244 0.244 0.488
O2 O 0.244 0.756 0.000
O3 O 0.756 0.244 0.000
O4 O 0.756 0.756 0.512
# * symmetry: Immm, No. 71
# * energy relative to the elements: -1.414 eV per atom
# * DFT total energy: -4.58 eV per atom

---

Copy entry 5 word for word.
# Ba2MgCu3Br2O4 | the Materials Project | PBE | optimized geometry
data_Ba2MgCu3Br2O4
_chemical_formula_sum 'Ba2 Mg1 Cu3 Br2 O4'
_cell_length_a 10.130
_cell_length_b 10.130
_cell_length_c 10.130
_cell_angle_alpha 147.40
_cell_angle_beta 147.31
_cell_angle_gamma 46.84
_symmetry_space_group_name_H-M 'P 1'
_symmetry_Int_Tables_number 1
loop_
_symmetry_equiv_pos_as_xyz
'x,y,z'
loop_
_atom_site_label
_atom_site_type_symbol
_atom_site_fract_x
_atom_site_fract_y
_atom_site_fract_z
Ba1 Ba 0.158 0.158 0.000
Ba2 Ba 0.842 0.842 0.000
Mg1 Mg 0.000 0.000 0.000
Cu1 Cu 0.000 0.500 0.500
Cu2 Cu 0.500 0.000 0.500
Cu3 Cu 0.500 0.500 0.000
Br1 Br 0.250 0.750 0.500
Br2 Br 0.750 0.250 0.500
O1 O 0.244 0.244 0.488
O2 O 0.244 0.756 0.000
O3 O 0.756 0.244 0.000
O4 O 0.756 0.756 0.512
# * symmetry: Immm, No. 71
# * energy relative to the elements: -1.414 eV per atom
# * DFT total energy: -4.58 eV per atom